MgCu3Te2O10 | PBE-GGA | relaxed

Calculated values
Distance to the lowest polymorph of the same formula: 0 meV/atom
Formation energy from the elements: -1.418 eV per atom

Unit cell a=5.229 b=5.686 c=7.874 alpha=105.96 beta=100.01 gamma=106.93
Fractional positions:
Mg (0.000, 0.000, 0.000)
Cu (0.150, 0.045, 0.467)
Cu (0.461, 0.690, 0.577)
Cu (0.757, 0.296, 0.671)
Te (0.345, 0.492, 0.871)
Te (0.555, 0.874, 0.275)
O (0.127, 0.514, 0.655)
O (0.254, 0.683, 0.353)
O (0.315, 0.844, 0.036)
O (0.398, 0.176, 0.734)
O (0.512, 0.199, 0.412)
O (0.557, 0.529, 0.110)
O (0.663, 0.707, 0.813)
O (0.786, 0.868, 0.499)
O (0.906, 0.046, 0.240)
O (0.999, 0.287, 0.896)